No. 1
Below is a relaxed FePO4 crystal, with properties calculated at the PBE with a Hubbard U level.

Formation enthalpy at 0 K in meV per atom: -2325
SG: P1
Raw total energy in eV/atom: -7.1031
Theoretical density in g/cm³: 2.49

Geometry as CIF:
```
data_FePO4
_space_group_name_H-M_alt 'P 1'
_space_group_IT_number 1
_space_group_name_Hall 'P 1'
_cell_length_a 5.220
_cell_length_b 7.405
_cell_length_c 10.394
_cell_angle_alpha 89.92
_cell_angle_beta 89.22
_cell_angle_gamma 89.75
loop_
_atom_site_label
_atom_site_fract_x
_atom_site_fract_y
_atom_site_fract_z
Fe1 0.000 0.000 0.000
Fe2 0.106 0.997 0.492
Fe3 0.489 0.499 0.796
Fe4 0.614 0.496 0.296
P1 0.121 0.248 0.240
P2 0.493 0.749 0.050
P3 0.609 0.748 0.547
P4 0.990 0.249 0.745
O1 0.047 0.193 0.604
O2 0.051 0.081 0.322
O3 0.052 0.086 0.832
O4 0.081 0.204 0.095
O5 0.151 0.417 0.779
O6 0.206 0.801 0.039
O7 0.405 0.296 0.260
O8 0.445 0.913 0.507
O9 0.547 0.583 0.964
O10 0.548 0.696 0.191
O11 0.550 0.580 0.464
O12 0.552 0.701 0.689
O13 0.662 0.912 0.011
O14 0.703 0.301 0.759
O15 0.894 0.799 0.529
O16 0.954 0.413 0.277
```

No. 2
Below is a relaxed FeP5O15 crystal, with properties calculated at the PBE with a Hubbard U level.

Formation enthalpy at 0 K in meV per atom: -2284
SG: P2_1/m
Raw total energy in eV/atom: -6.9121
Theoretical density in g/cm³: 2.36

Geometry as CIF:
```
data_FeP5O15
_space_group_name_H-M_alt 'P 1'
_space_group_IT_number 1
_space_group_name_Hall 'P 1'
_cell_length_a 5.229
_cell_length_b 13.806
_cell_length_c 9.129
_cell_angle_alpha 90.00
_cell_angle_beta 105.41
_cell_angle_gamma 90.00
loop_
_atom_site_label
_atom_site_fract_x
_atom_site_fract_y
_atom_site_fract_z
Fe1 0.000 0.000 0.000
Fe2 0.000 0.500 0.000
P1 0.055 0.250 0.502
P2 0.107 0.574 0.681
P3 0.107 0.926 0.681
P4 0.490 0.640 0.964
P5 0.490 0.860 0.964
P6 0.510 0.140 0.036
P7 0.510 0.360 0.036
P8 0.893 0.074 0.319
P9 0.893 0.426 0.319
P10 0.945 0.750 0.498
O1 0.031 0.018 0.222
O2 0.031 0.482 0.222
O3 0.086 0.163 0.392
O4 0.086 0.337 0.392
O5 0.205 0.750 0.455
O6 0.206 0.521 0.560
O7 0.206 0.979 0.560
O8 0.217 0.124 0.003
O9 0.217 0.376 0.003
O10 0.273 0.250 0.648
O11 0.334 0.579 0.047
O12 0.334 0.921 0.047
O13 0.366 0.629 0.782
O14 0.366 0.871 0.782
O15 0.427 0.750 0.993
O16 0.573 0.250 0.007
O17 0.634 0.129 0.218
O18 0.634 0.371 0.218
O19 0.666 0.079 0.953
O20 0.666 0.421 0.953
O21 0.727 0.750 0.352
O22 0.783 0.624 0.997
O23 0.783 0.876 0.997
O24 0.794 0.021 0.440
O25 0.794 0.479 0.440
O26 0.795 0.250 0.545
O27 0.914 0.663 0.608
O28 0.914 0.837 0.608
O29 0.969 0.518 0.778
O30 0.969 0.982 0.778
```

No. 3
Below is a relaxed Fe5P3O13 crystal, with properties calculated at the PBE with a Hubbard U level.

Formation enthalpy at 0 K in meV per atom: -2197
SG: P2_1/m
Raw total energy in eV/atom: -7.0874
Theoretical density in g/cm³: 3.63

Geometry as CIF:
```
data_Fe5P3O13
_space_group_name_H-M_alt 'P 1'
_space_group_IT_number 1
_space_group_name_Hall 'P 1'
_cell_length_a 8.548
_cell_length_b 6.321
_cell_length_c 9.848
_cell_angle_alpha 90.00
_cell_angle_beta 94.79
_cell_angle_gamma 90.00
loop_
_atom_site_label
_atom_site_fract_x
_atom_site_fract_y
_atom_site_fract_z
Fe1 0.086 0.250 0.116
Fe2 0.268 0.250 0.558
Fe3 0.346 0.250 0.909
Fe4 0.386 0.001 0.234
Fe5 0.386 0.499 0.234
Fe6 0.614 0.501 0.766
Fe7 0.614 0.999 0.766
Fe8 0.654 0.750 0.091
Fe9 0.732 0.750 0.442
Fe10 0.914 0.750 0.884
P1 0.022 0.750 0.222
P2 0.318 0.750 0.916
P3 0.390 0.750 0.520
P4 0.610 0.250 0.480
P5 0.682 0.250 0.084
P6 0.978 0.250 0.778
O1 0.069 0.250 0.652
O2 0.095 0.250 0.911
O3 0.125 0.546 0.215
O4 0.125 0.954 0.215
O5 0.138 0.750 0.899
O6 0.292 0.554 0.538
O7 0.292 0.946 0.538
O8 0.308 0.250 0.111
O9 0.381 0.750 0.071
O10 0.383 0.548 0.849
O11 0.383 0.952 0.849
O12 0.449 0.750 0.369
O13 0.453 0.250 0.384
O14 0.547 0.750 0.616
O15 0.551 0.250 0.631
O16 0.617 0.048 0.151
O17 0.617 0.452 0.151
O18 0.619 0.250 0.929
O19 0.692 0.750 0.889
O20 0.708 0.054 0.462
O21 0.708 0.446 0.462
O22 0.862 0.250 0.101
O23 0.875 0.046 0.785
O24 0.875 0.454 0.785
O25 0.905 0.750 0.089
O26 0.931 0.750 0.348
```

No. 4
Below is a relaxed FePO4 crystal, with properties calculated at the PBE with a Hubbard U level.

Formation enthalpy at 0 K in meV per atom: -2324
Maximum piezoelectric response in C/m²: 0.2
Raw total energy in eV/atom: -7.1026
Theoretical density in g/cm³: 2.53

Geometry as CIF:
```
data_FePO4
_space_group_name_H-M_alt 'P 1'
_space_group_IT_number 1
_space_group_name_Hall 'P 1'
_cell_length_a 5.377
_cell_length_b 5.377
_cell_length_c 23.711
_cell_angle_alpha 90.00
_cell_angle_beta 90.00
_cell_angle_gamma 60.00
loop_
_atom_site_label
_atom_site_fract_x
_atom_site_fract_y
_atom_site_fract_z
O1 0.423 0.764 0.704
O2 0.577 0.236 0.204
O3 0.423 0.764 0.204
O4 0.187 0.236 0.796
O5 0.813 0.423 0.871
O6 0.187 0.577 0.371
O7 0.187 0.577 0.871
O8 0.813 0.764 0.796
O9 0.236 0.187 0.037
O10 0.764 0.423 0.129
O11 0.577 0.187 0.963
O12 0.813 0.764 0.296
O13 0.577 0.236 0.704
O14 0.423 0.813 0.963
O15 0.764 0.423 0.629
O16 0.813 0.423 0.371
O17 0.764 0.813 0.537
O18 0.187 0.236 0.296
O19 0.577 0.187 0.463
O20 0.236 0.187 0.537
O21 0.236 0.577 0.629
O22 0.236 0.577 0.129
O23 0.764 0.813 0.037
O24 0.423 0.813 0.463
Fe1 0.500 0.000 0.250
Fe2 0.500 0.500 0.417
Fe3 0.500 0.000 0.750
Fe4 0.500 0.500 0.917
Fe5 0.000 0.500 0.083
Fe6 0.000 0.500 0.583
P1 0.000 0.500 0.333
P2 0.500 0.500 0.667
P3 0.500 0.500 0.167
P4 0.500 0.000 0.000
P5 0.000 0.500 0.833
P6 0.500 0.000 0.500
```

No. 5
Below is a relaxed FePO4 crystal, with properties calculated at the PBE with a Hubbard U level.

Formation enthalpy at 0 K in meV per atom: -2298
SG: P2_1/c
Raw total energy in eV/atom: -7.0765
Theoretical density in g/cm³: 2.69

Geometry as CIF:
```
data_FePO4
_space_group_name_H-M_alt 'P 1'
_space_group_IT_number 1
_space_group_name_Hall 'P 1'
_cell_length_a 5.224
_cell_length_b 10.085
_cell_length_c 8.742
_cell_angle_alpha 90.00
_cell_angle_beta 126.10
_cell_angle_gamma 90.00
loop_
_atom_site_label
_atom_site_fract_x
_atom_site_fract_y
_atom_site_fract_z
Fe1 0.207 0.175 0.008
Fe2 0.207 0.325 0.508
Fe3 0.793 0.675 0.492
Fe4 0.793 0.825 0.992
P1 0.476 0.089 0.775
P2 0.476 0.411 0.275
P3 0.524 0.589 0.725
P4 0.524 0.911 0.225
O1 0.210 0.656 0.564
O2 0.210 0.844 0.064
O3 0.220 0.119 0.808
O4 0.220 0.381 0.308
O5 0.360 0.148 0.580
O6 0.360 0.352 0.080
O7 0.472 0.062 0.222
O8 0.472 0.438 0.722
O9 0.528 0.562 0.278
O10 0.528 0.938 0.778
O11 0.640 0.648 0.920
O12 0.640 0.852 0.420
O13 0.780 0.619 0.692
O14 0.780 0.881 0.192
O15 0.790 0.156 0.936
O16 0.790 0.344 0.436
```

No. 6
Below is a relaxed FeP2O7 crystal, with properties calculated at the PBE with a Hubbard U level.

Formation enthalpy at 0 K in meV per atom: -2148
SG: P-1
Raw total energy in eV/atom: -6.8345
Theoretical density in g/cm³: 2.87

Geometry as CIF:
```
data_FeP2O7
_space_group_name_H-M_alt 'P 1'
_space_group_IT_number 1
_space_group_name_Hall 'P 1'
_cell_length_a 6.381
_cell_length_b 6.589
_cell_length_c 6.952
_cell_angle_alpha 88.84
_cell_angle_beta 66.01
_cell_angle_gamma 85.10
loop_
_atom_site_label
_atom_site_fract_x
_atom_site_fract_y
_atom_site_fract_z
Fe1 0.100 0.151 0.286
Fe2 0.900 0.849 0.714
P1 0.220 0.642 0.249
P2 0.338 0.887 0.847
P3 0.662 0.113 0.153
P4 0.780 0.358 0.751
O1 0.066 0.831 0.376
O2 0.093 0.452 0.273
O3 0.207 0.847 0.714
O4 0.243 0.079 0.985
O5 0.307 0.696 0.006
O6 0.406 0.118 0.293
O7 0.423 0.603 0.313
O8 0.577 0.397 0.687
O9 0.594 0.882 0.707
O10 0.693 0.304 0.994
O11 0.757 0.921 0.015
O12 0.793 0.153 0.286
O13 0.907 0.548 0.727
O14 0.934 0.169 0.624
```

No. 7
Below is a relaxed FeP2O7 crystal, with properties calculated at the PBE with a Hubbard U level.

Formation enthalpy at 0 K in meV per atom: -2216
SG: C2/m
Raw total energy in eV/atom: -6.9026
Theoretical density in g/cm³: 2.94

Geometry as CIF:
```
data_FeP2O7
_space_group_name_H-M_alt 'P 1'
_space_group_IT_number 1
_space_group_name_Hall 'P 1'
_cell_length_a 6.567
_cell_length_b 6.567
_cell_length_c 6.984
_cell_angle_alpha 111.80
_cell_angle_beta 111.80
_cell_angle_gamma 79.94
loop_
_atom_site_label
_atom_site_fract_x
_atom_site_fract_y
_atom_site_fract_z
Fe1 0.194 0.806 0.000
Fe2 0.806 0.194 0.000
P1 0.190 0.190 0.449
P2 0.266 0.266 0.925
P3 0.734 0.734 0.075
P4 0.810 0.810 0.551
O1 0.038 0.731 0.675
O2 0.138 0.138 0.990
O3 0.169 0.169 0.661
O4 0.209 0.510 0.000
O5 0.269 0.962 0.325
O6 0.359 0.359 0.514
O7 0.490 0.791 0.000
O8 0.510 0.209 0.000
O9 0.641 0.641 0.486
O10 0.731 0.038 0.675
O11 0.791 0.490 0.000
O12 0.831 0.831 0.339
O13 0.862 0.862 0.010
O14 0.962 0.269 0.325
```

No. 8
Below is a relaxed Fe3P2O9 crystal, with properties calculated at the PBE with a Hubbard U level.

Formation enthalpy at 0 K in meV per atom: -2136
SG: P2_1/c
Raw total energy in eV/atom: -6.9805
Theoretical density in g/cm³: 3.58

Geometry as CIF:
```
data_Fe3P2O9
_space_group_name_H-M_alt 'P 1'
_space_group_IT_number 1
_space_group_name_Hall 'P 1'
_cell_length_a 8.306
_cell_length_b 9.989
_cell_length_c 9.605
_cell_angle_alpha 90.00
_cell_angle_beta 119.48
_cell_angle_gamma 90.00
loop_
_atom_site_label
_atom_site_fract_x
_atom_site_fract_y
_atom_site_fract_z
Fe1 0.057 0.118 0.434
Fe2 0.057 0.382 0.934
Fe3 0.266 0.623 0.781
Fe4 0.266 0.877 0.281
Fe5 0.416 0.615 0.523
Fe6 0.416 0.885 0.023
Fe7 0.584 0.115 0.977
Fe8 0.584 0.385 0.477
Fe9 0.734 0.123 0.719
Fe10 0.734 0.377 0.219
Fe11 0.943 0.618 0.066
Fe12 0.943 0.882 0.566
P1 0.018 0.172 0.141
P2 0.018 0.328 0.641
P3 0.384 0.594 0.170
P4 0.384 0.906 0.670
P5 0.616 0.094 0.330
P6 0.616 0.406 0.830
P7 0.982 0.672 0.359
P8 0.982 0.828 0.859
O1 0.040 0.742 0.754
O2 0.040 0.758 0.254
O3 0.118 0.054 0.261
O4 0.118 0.446 0.761
O5 0.149 0.244 0.098
O6 0.149 0.256 0.598
O7 0.159 0.628 0.514
O8 0.159 0.872 0.014
O9 0.177 0.542 0.074
O10 0.177 0.958 0.574
O11 0.348 0.055 0.923
O12 0.348 0.445 0.423
O13 0.394 0.686 0.302
O14 0.394 0.814 0.802
O15 0.420 0.675 0.049
O16 0.420 0.825 0.549
O17 0.485 0.528 0.766
O18 0.485 0.972 0.266
O19 0.515 0.028 0.734
O20 0.515 0.472 0.234
O21 0.580 0.175 0.451
O22 0.580 0.325 0.951
O23 0.606 0.186 0.198
O24 0.606 0.314 0.698
O25 0.652 0.555 0.577
O26 0.652 0.945 0.077
O27 0.823 0.042 0.426
O28 0.823 0.458 0.926
O29 0.841 0.128 0.986
O30 0.841 0.372 0.486
O31 0.851 0.744 0.402
O32 0.851 0.756 0.902
O33 0.882 0.554 0.239
O34 0.882 0.946 0.739
O35 0.960 0.242 0.746
O36 0.960 0.258 0.246
```

No. 9
Below is a relaxed Fe4P6O21 crystal, with properties calculated at the PBE with a Hubbard U level.

Formation enthalpy at 0 K in meV per atom: -2389
SG: P2_1/c
Raw total energy in eV/atom: -7.1247
Theoretical density in g/cm³: 3.13

Geometry as CIF:
```
data_Fe4P6O21
_space_group_name_H-M_alt 'P 1'
_space_group_IT_number 1
_space_group_name_Hall 'P 1'
_cell_length_a 7.527
_cell_length_b 21.708
_cell_length_c 12.245
_cell_angle_alpha 90.00
_cell_angle_beta 127.80
_cell_angle_gamma 90.00
loop_
_atom_site_label
_atom_site_fract_x
_atom_site_fract_y
_atom_site_fract_z
Fe1 0.175 0.241 0.207
Fe2 0.175 0.259 0.707
Fe3 0.218 0.747 0.277
Fe4 0.218 0.753 0.777
Fe5 0.274 0.502 0.234
Fe6 0.274 0.998 0.734
Fe7 0.308 0.506 0.755
Fe8 0.308 0.994 0.255
Fe9 0.692 0.006 0.745
Fe10 0.692 0.494 0.245
Fe11 0.726 0.002 0.266
Fe12 0.726 0.498 0.766
Fe13 0.782 0.247 0.223
Fe14 0.782 0.253 0.723
Fe15 0.825 0.741 0.293
Fe16 0.825 0.759 0.793
P1 0.095 0.111 0.332
P2 0.095 0.389 0.832
P3 0.218 0.046 0.969
P4 0.218 0.454 0.469
P5 0.223 0.562 0.972
P6 0.223 0.938 0.472
P7 0.262 0.186 0.994
P8 0.262 0.314 0.494
P9 0.292 0.700 0.054
P10 0.292 0.800 0.554
P11 0.417 0.141 0.656
P12 0.417 0.359 0.156
P13 0.583 0.641 0.844
P14 0.583 0.859 0.344
P15 0.708 0.200 0.446
P16 0.708 0.300 0.946
P17 0.738 0.686 0.506
P18 0.738 0.814 0.006
P19 0.777 0.062 0.528
P20 0.777 0.438 0.028
P21 0.782 0.546 0.531
P22 0.782 0.954 0.031
P23 0.905 0.611 0.168
P24 0.905 0.889 0.668
O1 0.015 0.172 0.249
O2 0.015 0.328 0.749
O3 0.028 0.054 0.609
O4 0.028 0.446 0.109
O5 0.029 0.542 0.594
O6 0.029 0.958 0.094
O7 0.099 0.578 0.182
O8 0.099 0.922 0.682
O9 0.112 0.217 0.850
O10 0.112 0.283 0.350
O11 0.152 0.734 0.913
O12 0.152 0.766 0.413
O13 0.159 0.190 0.069
O14 0.159 0.310 0.569
O15 0.182 0.710 0.123
O16 0.182 0.790 0.623
O17 0.210 0.071 0.290
O18 0.210 0.429 0.790
O19 0.264 0.180 0.671
O20 0.264 0.320 0.171
O21 0.273 0.116 0.959
O22 0.273 0.384 0.459
O23 0.280 0.010 0.891
O24 0.280 0.490 0.391
O25 0.281 0.128 0.493
O26 0.281 0.372 0.993
O27 0.284 0.630 0.024
O28 0.284 0.870 0.524
O29 0.314 0.551 0.893
O30 0.314 0.949 0.393
O31 0.353 0.523 0.107
O32 0.353 0.977 0.607
O33 0.368 0.675 0.798
O34 0.368 0.825 0.298
O35 0.375 0.029 0.126
O36 0.375 0.471 0.626
O37 0.465 0.218 0.364
O38 0.465 0.282 0.864
O39 0.480 0.079 0.733
O40 0.480 0.421 0.233
O41 0.495 0.707 0.421
O42 0.495 0.793 0.921
O43 0.505 0.207 0.079
O44 0.505 0.293 0.579
O45 0.520 0.579 0.767
O46 0.520 0.921 0.267
O47 0.535 0.718 0.136
O48 0.535 0.782 0.636
O49 0.625 0.529 0.374
O50 0.625 0.971 0.874
O51 0.632 0.175 0.702
O52 0.632 0.325 0.202
O53 0.647 0.023 0.393
O54 0.647 0.477 0.893
O55 0.686 0.051 0.607
O56 0.686 0.449 0.107
O57 0.716 0.130 0.476
O58 0.716 0.370 0.976
O59 0.719 0.628 0.007
O60 0.719 0.872 0.507
O61 0.720 0.510 0.609
O62 0.720 0.990 0.109
O63 0.727 0.616 0.541
O64 0.727 0.884 0.041
O65 0.736 0.680 0.829
O66 0.736 0.820 0.329
O67 0.790 0.571 0.210
O68 0.790 0.929 0.710
O69 0.818 0.210 0.377
O70 0.818 0.290 0.877
O71 0.841 0.690 0.431
O72 0.841 0.810 0.931
O73 0.848 0.234 0.587
O74 0.848 0.266 0.087
O75 0.888 0.717 0.650
O76 0.888 0.783 0.150
O77 0.901 0.078 0.318
O78 0.901 0.422 0.818
O79 0.971 0.042 0.906
O80 0.971 0.458 0.406
O81 0.972 0.554 0.891
O82 0.972 0.946 0.391
O83 0.985 0.672 0.251
O84 0.985 0.828 0.751
```

Question: theoretical density of number 6 (FeP2O7)?
Answer: 2.87 g/cm³

Question: Which of these has the highest raw total energy?
Answer: number 6